Material: AsSBr3F6
Method: DFT, PBE-GGA
State: optimized geometry

Output
E_form ... -1.602 eV per atom

Lattice parameters (Å, degrees): 8.2735 9.6002 12.3921 90.00 96.82 90.00
Space group P2_1/c (No. 14)
Asymmetric unit:
As 0.2107 0.2292 0.0587
S 0.2025 0.7012 0.7125
Br 0.2050 0.5921 0.2851
Br 0.2566 0.5593 0.8499
Br 0.4203 0.6988 0.6284
F 0.0169 0.2176 0.4958
F 0.1339 0.0611 0.0823
F 0.1608 0.2132 0.6863
F 0.2617 0.1725 0.9290
F 0.2907 0.1021 0.5331
F 0.4070 0.1779 0.1181

Material: AsSe3Br3F6
Method: DFT, PBE-GGA
State: optimized geometry

Output
E_form ... -1.414 eV per atom

Lattice parameters (Å, degrees): 8.3138 10.3865 11.9896 79.45 87.32 76.45
Space group P1 (No. 1)
Asymmetric unit:
As 0.0000 0.0000 0.0000
As 0.1961 0.4283 0.3120
As 0.3943 0.8553 0.6228
Se 0.1722 0.5316 0.6733
Se 0.2289 0.3390 0.9772
Se 0.2352 0.5445 0.8872
Se 0.4217 0.7587 0.2237
Se 0.4957 0.7837 0.0038
Se 0.6316 0.1746 0.6229
Se 0.7608 0.6798 0.0005
Se 0.8966 0.0727 0.6197
Se 0.9706 0.0982 0.3982
Br 0.1509 0.3114 0.7088
Br 0.4229 0.9730 0.2517
Br 0.4983 0.2054 0.9639
Br 0.6124 0.4044 0.6351
Br 0.6762 0.6347 0.2903
Br 0.7160 0.2216 0.3327
Br 0.7726 0.4515 0.9898
Br 0.8972 0.6484 0.6588
Br 0.9699 0.8835 0.3712
F 0.0030 0.8932 0.8995
F 0.0458 0.4647 0.2043
F 0.0593 0.3536 0.4089
F 0.1104 0.5864 0.3530
F 0.1297 0.8619 0.0920
F 0.1807 0.0458 0.9373
F 0.2138 0.8049 0.6859
F 0.2632 0.9926 0.5324
F 0.2820 0.2697 0.2718
F 0.3328 0.5026 0.2152
F 0.3462 0.3919 0.4203
F 0.3885 0.9610 0.7239
F 0.3957 0.7508 0.5216
F 0.5205 0.7190 0.7146
F 0.5722 0.9046 0.5592
F 0.8221 0.9507 0.0641
F 0.8745 0.1360 0.9077
F 0.9979 0.1042 0.1018

Material: AsSeBr3F6
Method: DFT, PBE-GGA
State: optimized geometry

Output
E_form ... -1.652 eV per atom

Lattice parameters (Å, degrees): 8.0595 10.0482 12.4534 90.00 99.39 90.00
Space group P2_1/c (No. 14)
Asymmetric unit:
As 0.1631 0.2327 0.0777
Se 0.2067 0.6714 0.6973
Br 0.2345 0.6085 0.2512
Br 0.3030 0.5531 0.8546
Br 0.4276 0.6521 0.5990
F 0.0425 0.7291 0.9923
F 0.0909 0.0710 0.1093
F 0.1052 0.2037 0.6998
F 0.2158 0.1692 0.9547
F 0.2346 0.1067 0.5474
F 0.3660 0.1920 0.1474

Material: TeAsBr3F6
Method: DFT, PBE-GGA
State: optimized geometry

Output
E_form ... -1.758 eV per atom

Lattice parameters (Å, degrees): 8.1768 10.4075 12.6472 90.00 99.90 90.00
Space group P2_1/c (No. 14)
Asymmetric unit:
Te 0.1856 0.1674 0.1904
As 0.1641 0.7318 0.5784
Br 0.2362 0.1076 0.7509
Br 0.3050 0.0528 0.3573
Br 0.4273 0.1504 0.0965
F 0.0419 0.2341 0.4923
F 0.0914 0.5749 0.6088
F 0.1023 0.7086 0.1982
F 0.2128 0.6698 0.4570
F 0.2301 0.6138 0.0486
F 0.3624 0.6931 0.6487